# 1
A relaxed structure of LaFeSb2, computed with PBE-GGA.

Cell lengths 4.3794, 4.3794, 10.1754 Å; angles 90.00, 90.00, 90.00 degrees
Positions (direct):
La 0.2500 0.2500 0.2432
La 0.7500 0.7500 0.7568
Fe 0.2500 0.7500 0.0000
Fe 0.7500 0.2500 0.0000
Sb 0.2500 0.2500 0.8726
Sb 0.2500 0.7500 0.5000
Sb 0.7500 0.2500 0.5000
Sb 0.7500 0.7500 0.1274



# 2
A relaxed structure of Ti2FeB2Rh5, computed with PBE-GGA.

Cell lengths 9.0871, 9.0871, 3.1106 Å; angles 90.00, 90.00, 90.00 degrees
Positions (direct):
Ti 0.1760 0.3240 0.0000
Ti 0.3240 0.8240 0.0000
Ti 0.6760 0.1760 0.0000
Ti 0.8240 0.6760 0.0000
Fe 0.0000 0.0000 0.0000
Fe 0.5000 0.5000 0.0000
B 0.1250 0.6250 0.0000
B 0.3750 0.1250 0.0000
B 0.6250 0.8750 0.0000
B 0.8750 0.3750 0.0000
Rh 0.0000 0.5000 0.5000
Rh 0.0732 0.7862 0.5000
Rh 0.2138 0.0732 0.5000
Rh 0.2862 0.5732 0.5000
Rh 0.4268 0.2862 0.5000
Rh 0.5000 0.0000 0.5000
Rh 0.5732 0.7138 0.5000
Rh 0.7138 0.4268 0.5000
Rh 0.7862 0.9268 0.5000
Rh 0.9268 0.2138 0.5000



# 3
A relaxed structure of Zn5B3Ir7, computed with PBE-GGA.

Relative energy among the computed polymorphs (meV/atom): 157

Cell lengths 10.9555, 2.8637, 12.4419 Å; angles 90.00, 90.00, 90.00 degrees
Positions (direct):
Zn 0.0498 0.0000 0.1538
Zn 0.1182 0.0000 0.3572
Zn 0.2500 0.0000 0.0630
Zn 0.3818 0.0000 0.3572
Zn 0.4502 0.0000 0.1538
Zn 0.5498 0.0000 0.8462
Zn 0.6182 0.0000 0.6428
Zn 0.7500 0.0000 0.9370
Zn 0.8818 0.0000 0.6428
Zn 0.9502 0.0000 0.8462
B 0.1240 0.0000 0.5910
B 0.2500 0.0000 0.8487
B 0.3760 0.0000 0.5910
B 0.6240 0.0000 0.4090
B 0.7500 0.0000 0.1513
B 0.8760 0.0000 0.4090
Ir 0.0000 0.5000 0.5000
Ir 0.1111 0.5000 0.7175
Ir 0.1212 0.5000 0.9349
Ir 0.2500 0.5000 0.2310
Ir 0.2500 0.5000 0.5145
Ir 0.3788 0.5000 0.9349
Ir 0.3889 0.5000 0.7175
Ir 0.5000 0.5000 0.5000
Ir 0.6111 0.5000 0.2825
Ir 0.6212 0.5000 0.0651
Ir 0.7500 0.5000 0.4855
Ir 0.7500 0.5000 0.7690
Ir 0.8788 0.5000 0.0651
Ir 0.8889 0.5000 0.2825



# 4
A relaxed structure of Sc4Te3N2, computed with PBE-GGA.

Cell lengths 6.8591, 11.2711, 10.6499 Å; angles 90.00, 90.00, 90.00 degrees
Positions (direct):
Sc 0.0786 0.2500 0.1253
Sc 0.1742 0.7500 0.1091
Sc 0.1916 0.0190 0.9314
Sc 0.1916 0.4810 0.9314
Sc 0.3084 0.5190 0.4314
Sc 0.3084 0.9810 0.4314
Sc 0.3258 0.2500 0.6091
Sc 0.4214 0.7500 0.6253
Sc 0.5786 0.2500 0.3747
Sc 0.6742 0.7500 0.3909
Sc 0.6916 0.0190 0.5686
Sc 0.6916 0.4810 0.5686
Sc 0.8084 0.5190 0.0686
Sc 0.8084 0.9810 0.0686
Sc 0.8258 0.2500 0.8909
Sc 0.9214 0.7500 0.8747
Te 0.0889 0.5700 0.6758
Te 0.0889 0.9300 0.6758
Te 0.1044 0.7500 0.3737
Te 0.3956 0.2500 0.8737
Te 0.4111 0.0700 0.1758
Te 0.4111 0.4300 0.1758
Te 0.5889 0.5700 0.8242
Te 0.5889 0.9300 0.8242
Te 0.6044 0.7500 0.1263
Te 0.8956 0.2500 0.6263
Te 0.9111 0.0700 0.3242
Te 0.9111 0.4300 0.3242
N 0.0417 0.6247 0.0026
N 0.0417 0.8753 0.0026
N 0.4583 0.1247 0.5026
N 0.4583 0.3753 0.5026
N 0.5417 0.6247 0.4974
N 0.5417 0.8753 0.4974
N 0.9583 0.1247 0.9974
N 0.9583 0.3753 0.9974



# 5
A relaxed structure of TiSbRu, computed with PBE-GGA.

Cell lengths 4.3552, 4.3552, 4.3552 Å; angles 60.00, 60.00, 60.00 degrees
Positions (direct):
Ti 0.0000 0.0000 0.0000
Sb 0.5000 0.5000 0.5000
Ru 0.7500 0.7500 0.7500



# 6
A relaxed structure of AcHgRh2, computed with PBE-GGA.

Cell lengths 4.9216, 4.9216, 4.9216 Å; angles 60.00, 60.00, 60.00 degrees
Positions (direct):
Ac 0.0000 0.0000 0.0000
Hg 0.5000 0.5000 0.5000
Rh 0.2500 0.2500 0.2500
Rh 0.7500 0.7500 0.7500



# 7
A relaxed structure of Na21Ca10Ta2P15S3O72, computed with PBE-GGA.

Cell lengths 9.3730, 9.4015, 22.6046 Å; angles 89.96, 89.99, 60.26 degrees
Positions (direct):
Na 0.0000 0.0000 0.0000
Na 0.0006 0.3628 0.5164
Na 0.0310 0.6417 0.5951
Na 0.0324 0.6378 0.0950
Na 0.0443 0.3024 0.8470
Na 0.0681 0.3266 0.1819
Na 0.0712 0.9418 0.6898
Na 0.3187 0.3247 0.6834
Na 0.3228 0.6884 0.1874
Na 0.3487 0.9860 0.2698
Na 0.3501 0.3504 0.0036
Na 0.3752 0.2930 0.3579
Na 0.3771 0.6077 0.5131
Na 0.3814 0.9695 0.7693
Na 0.6831 0.6632 0.3584
Na 0.6931 0.3191 0.9209
Na 0.7016 0.3156 0.4373
Na 0.7033 0.9397 0.1879
Na 0.7049 0.6880 0.6841
Na 0.7134 0.9850 0.5139
Na 0.7450 0.6065 0.0028
Ca 0.0288 0.6574 0.7518
Ca 0.0307 0.6560 0.4377
Ca 0.0331 0.6546 0.2514
Ca 0.0340 0.6544 0.9321
Ca 0.3586 0.9921 0.1162
Ca 0.3622 0.9832 0.4128
Ca 0.3658 0.9818 0.9085
Ca 0.3698 0.9855 0.6144
Ca 0.6940 0.3214 0.5817
Ca 0.7028 0.3173 0.0800
Ta 0.6940 0.3173 0.7780
Ta 0.7017 0.3142 0.2779
P 0.0207 0.9774 0.8429
P 0.0241 0.3425 0.3406
P 0.0611 0.2961 0.0127
P 0.3483 0.3406 0.8438
P 0.3564 0.6405 0.3400
P 0.3596 0.2963 0.5107
P 0.4013 0.6162 0.6787
P 0.4026 0.3181 0.1779
P 0.6759 0.6785 0.5114
P 0.6961 0.6161 0.1789
P 0.6988 0.0213 0.6777
P 0.7172 0.9709 0.3419
P 0.7192 0.6394 0.8421
P 0.9942 0.0216 0.1774
P 0.9956 0.3169 0.6793
S 0.0607 0.9816 0.5149
S 0.3588 0.6836 0.0157
S 0.6723 0.9786 0.0148
O 0.0179 0.8486 0.1851
O 0.0206 0.4669 0.6846
O 0.0370 0.8734 0.7891
O 0.0436 0.4709 0.0096
O 0.0450 0.8314 0.5106
O 0.0458 0.4244 0.2851
O 0.1481 0.9705 0.5709
O 0.1521 0.2167 0.0716
O 0.1521 0.9933 0.4640
O 0.1576 0.0220 0.1860
O 0.1580 0.1901 0.9595
O 0.1596 0.1546 0.6863
O 0.1606 0.0179 0.8446
O 0.1751 0.1740 0.3480
O 0.2049 0.6732 0.0106
O 0.2075 0.4730 0.5102
O 0.2282 0.4674 0.1836
O 0.2276 0.6398 0.6860
O 0.2341 0.4319 0.7920
O 0.2591 0.6579 0.2835
O 0.2797 0.6047 0.3943
O 0.2866 0.4376 0.9023
O 0.3455 0.2089 0.5668
O 0.3507 0.7656 0.0730
O 0.3639 0.2017 0.4543
O 0.3690 0.1689 0.8468
O 0.3738 0.7773 0.9665
O 0.3938 0.7808 0.3456
O 0.4014 0.1552 0.1859
O 0.4023 0.7788 0.6863
O 0.4700 0.5325 0.6192
O 0.4768 0.3298 0.1192
O 0.5038 0.5137 0.0133
O 0.5190 0.3207 0.2299
O 0.5207 0.3076 0.5102
O 0.5225 0.4930 0.7286
O 0.5255 0.3204 0.8316
O 0.5336 0.7801 0.1862
O 0.5347 0.0223 0.6860
O 0.5348 0.4771 0.3342
O 0.5394 0.0032 0.3452
O 0.5456 0.7821 0.8478
O 0.5666 0.9862 0.9656
O 0.5782 0.7652 0.4550
O 0.5847 0.7767 0.5674
O 0.6010 0.9654 0.0722
O 0.6870 0.1303 0.0122
O 0.6980 0.4971 0.2307
O 0.6986 0.1488 0.3323
O 0.6987 0.5019 0.5110
O 0.7021 0.1413 0.7278
O 0.7060 0.4757 0.8343
O 0.7086 0.5300 0.1202
O 0.7123 0.0910 0.6181
O 0.7997 0.8634 0.2875
O 0.8070 0.6531 0.7873
O 0.8171 0.8996 0.3986
O 0.8290 0.6014 0.8982
O 0.8403 0.8318 0.0098
O 0.8467 0.6404 0.1846
O 0.8475 0.8481 0.6847
O 0.8485 0.6662 0.5111
O 0.8574 0.1536 0.8352
O 0.8669 0.3198 0.3311
O 0.8717 0.1418 0.2277
O 0.8773 0.3190 0.7314
O 0.8856 0.3135 0.0098
O 0.8930 0.1292 0.5137
O 0.9094 0.3296 0.6204
O 0.9108 0.0912 0.1181
O 0.9776 0.4582 0.3946
O 0.9974 0.9066 0.9014



# 8
A relaxed structure of Tb3CuGeS7, computed with PBE-GGA.

Cell lengths 9.9097, 9.9097, 5.8408 Å; angles 90.00, 90.00, 120.00 degrees
Positions (direct):
Tb 0.1328 0.7756 0.0000
Tb 0.2244 0.3572 0.0000
Tb 0.3572 0.1328 0.5000
Tb 0.6428 0.8672 0.0000
Tb 0.7756 0.6428 0.5000
Tb 0.8672 0.2244 0.5000
Cu 0.0000 0.0000 0.4323
Cu 0.0000 0.0000 0.9323
Ge 0.3333 0.6667 0.5806
Ge 0.6667 0.3333 0.0806
S 0.0986 0.5195 0.7421
S 0.0988 0.8404 0.4611
S 0.1596 0.2584 0.4611
S 0.2584 0.0988 0.9611
S 0.3333 0.6667 0.2028
S 0.4210 0.9014 0.7421
S 0.4805 0.5790 0.7421
S 0.5195 0.4210 0.2421
S 0.5790 0.0986 0.2421
S 0.6667 0.3333 0.7028
S 0.7416 0.9012 0.4611
S 0.8404 0.7416 0.9611
S 0.9012 0.1596 0.9611
S 0.9014 0.4805 0.2421



# 9
A relaxed structure of Er2TlAg, computed with PBE-GGA.

Cell lengths 5.2290, 5.2290, 5.2290 Å; angles 60.00, 60.00, 60.00 degrees
Positions (direct):
Er 0.2500 0.2500 0.2500
Er 0.7500 0.7500 0.7500
Tl 0.0000 0.0000 0.0000
Ag 0.5000 0.5000 0.5000



# 10
A relaxed structure of Mg2AgSbO6, computed with PBE-GGA.

Cell lengths 5.5448, 7.6019, 5.6263 Å; angles 90.00, 99.24, 90.00 degrees
Positions (direct):
Mg 0.0207 0.2500 0.0629
Mg 0.4420 0.7500 0.4783
Mg 0.5580 0.2500 0.5217
Mg 0.9793 0.7500 0.9371
Ag 0.0000 0.0000 0.5000
Ag 0.0000 0.5000 0.5000
Sb 0.5000 0.0000 0.0000
Sb 0.5000 0.5000 0.0000
O 0.1129 0.7500 0.6026
O 0.1531 0.0583 0.8458
O 0.1531 0.4417 0.8458
O 0.3765 0.7500 0.0950
O 0.3799 0.0717 0.2916
O 0.3799 0.4283 0.2916
O 0.6201 0.5717 0.7084
O 0.6201 0.9283 0.7084
O 0.6235 0.2500 0.9050
O 0.8469 0.5583 0.1542
O 0.8469 0.9417 0.1542
O 0.8871 0.2500 0.3974



Computed energy of formation from the pure elements, in the same sequence as the records: -252, -545, -183, -1314, -132, -121, -33461, -2007, -131, -1847 kJ/mol of formula units.